# 1
{
  "formula": "K11Mn4O16",
  "functional": "meta-GGA r2SCAN",
  "state": "relaxed",
  "magmom_total_mub_per_fu": 7.00,
  "dft_energy_ev_per_cell": -279.1,
  "sg": "No. 121",
  "formation_energy_kj_per_mol_atoms": -182.4,
  "lattice": [[-1.074, -10.201, -2.616], [-4.218, -6.584, 7.135], [-2.308, 9.422, -4.238]],
  "species": ["Mn", "Mn", "Mn", "Mn", "O", "O", "O", "O", "O", "O", "O", "O", "O", "O", "O", "O", "O", "O", "O", "O", "K", "K", "K", "K", "K", "K", "K", "K", "K", "K", "K"],
  "frac_coords": [[0.354, 0.354, 0.474], [0.120, 0.646, 0.000], [0.880, 0.880, 0.526], [0.646, 0.120, 0.000], [0.098, 0.843, 0.703], [0.280, 0.641, 0.000], [0.641, 0.280, 0.000], [0.395, 0.140, 0.297], [0.857, 0.857, 0.334], [0.843, 0.098, 0.703], [0.157, 0.860, 0.255], [0.902, 0.605, 0.745], [0.477, 0.142, 0.000], [0.720, 0.720, 0.361], [0.140, 0.395, 0.297], [0.143, 0.477, 0.000], [0.359, 0.359, 0.639], [0.523, 0.523, 0.666], [0.605, 0.902, 0.745], [0.860, 0.157, 0.255], [0.250, 0.750, 0.500], [0.440, 0.770, 0.000], [0.230, 0.230, 0.670], [0.500, 0.000, 0.500], [0.000, 0.000, 0.000], [0.560, 0.560, 0.330], [0.789, 0.789, 0.000], [0.770, 0.440, 0.000], [0.211, 0.211, 0.000], [0.000, 0.500, 0.500], [0.750, 0.250, 0.500]]
}

---

# 2
{
  "formula": "K3MnO4",
  "functional": "meta-GGA r2SCAN",
  "state": "relaxed",
  "magmom_total_mub_per_fu": 0.00,
  "dft_energy_ev_per_cell": -285.6,
  "formation_energy_kj_per_mol_atoms": -178.2,
  "lattice": [[-1.917, 1.596, -6.001], [1.542, 9.228, 5.467], [8.507, 3.857, -1.699]],
  "species": ["O", "O", "O", "O", "O", "O", "O", "O", "O", "O", "O", "O", "O", "O", "O", "O", "Mn", "Mn", "Mn", "Mn", "K", "K", "K", "K", "K", "K", "K", "K", "K", "K", "K", "K"],
  "frac_coords": [[0.025, 0.354, 0.317], [0.649, 0.994, 0.357], [0.655, 0.006, 0.643], [0.405, 0.506, 0.393], [0.525, 0.354, 0.817], [0.775, 0.854, 0.067], [0.275, 0.854, 0.567], [0.171, 0.646, 0.183], [0.421, 0.146, 0.433], [0.905, 0.506, 0.893], [0.399, 0.494, 0.107], [0.155, 0.006, 0.143], [0.671, 0.646, 0.683], [0.149, 0.994, 0.857], [0.899, 0.494, 0.607], [0.921, 0.146, 0.933], [0.000, 0.000, 0.000], [0.250, 0.500, 0.250], [0.750, 0.500, 0.750], [0.500, 0.000, 0.500], [0.562, 0.125, 0.813], [0.625, 0.250, 0.125], [0.812, 0.625, 0.063], [0.312, 0.625, 0.563], [0.938, 0.875, 0.688], [0.875, 0.750, 0.375], [0.188, 0.375, 0.938], [0.375, 0.750, 0.875], [0.125, 0.250, 0.625], [0.688, 0.375, 0.438], [0.062, 0.125, 0.313], [0.438, 0.875, 0.188]]
}

---

# 3
{
  "formula": "K3MnO3",
  "functional": "meta-GGA r2SCAN",
  "state": "relaxed",
  "magmom_total_mub_per_fu": 4.00,
  "dft_energy_ev_per_cell": -251.3,
  "sg": "No. 14",
  "formation_energy_kj_per_mol_atoms": -167.9,
  "lattice": [[-5.210, 0.186, -4.039], [3.782, -3.889, -3.952], [-4.285, -9.346, 5.097]],
  "species": ["K", "K", "K", "K", "K", "K", "K", "K", "K", "K", "K", "K", "Mn", "Mn", "Mn", "Mn", "O", "O", "O", "O", "O", "O", "O", "O", "O", "O", "O", "O"],
  "frac_coords": [[0.022, 0.078, 0.776], [0.654, 0.356, 0.511], [0.346, 0.144, 0.011], [0.526, 0.505, 0.210], [0.474, 0.495, 0.790], [0.526, 0.005, 0.290], [0.978, 0.422, 0.276], [0.346, 0.644, 0.489], [0.978, 0.922, 0.224], [0.654, 0.856, 0.989], [0.474, 0.995, 0.710], [0.022, 0.578, 0.724], [0.841, 0.339, 0.996], [0.841, 0.839, 0.504], [0.159, 0.161, 0.496], [0.159, 0.661, 0.004], [0.278, 0.806, 0.881], [0.278, 0.306, 0.619], [0.700, 0.715, 0.627], [0.300, 0.285, 0.373], [0.894, 0.095, 0.424], [0.106, 0.405, 0.924], [0.722, 0.194, 0.119], [0.300, 0.785, 0.127], [0.106, 0.905, 0.576], [0.700, 0.215, 0.873], [0.722, 0.694, 0.381], [0.894, 0.595, 0.076]]
}

---

# 4
{
  "formula": "K3Mn2O8",
  "functional": "meta-GGA r2SCAN",
  "state": "relaxed",
  "magmom_total_mub_per_fu": 1.00,
  "dft_energy_ev_per_cell": -235.3,
  "sg": "No. 11",
  "formation_energy_kj_per_mol_atoms": -166.7,
  "lattice": [[-5.442, 0.421, 1.668], [1.263, 7.346, 2.268], [-2.862, -0.494, -9.214]],
  "species": ["Mn", "Mn", "Mn", "Mn", "O", "O", "O", "O", "O", "O", "O", "O", "O", "O", "O", "O", "O", "O", "O", "O", "K", "K", "K", "K", "K", "K"],
  "frac_coords": [[0.250, 0.437, 0.658], [0.750, 0.563, 0.342], [0.250, 0.067, 0.842], [0.750, 0.933, 0.158], [0.018, 0.461, 0.761], [0.250, 0.915, 0.920], [0.250, 0.591, 0.583], [0.482, 0.461, 0.761], [0.250, 0.274, 0.970], [0.750, 0.769, 0.472], [0.982, 0.539, 0.239], [0.750, 0.726, 0.030], [0.250, 0.231, 0.528], [0.750, 0.409, 0.417], [0.518, 0.959, 0.262], [0.982, 0.959, 0.262], [0.482, 0.041, 0.738], [0.018, 0.041, 0.738], [0.750, 0.085, 0.080], [0.518, 0.539, 0.239], [0.750, 0.754, 0.754], [0.250, 0.246, 0.246], [0.750, 0.342, 0.953], [0.250, 0.658, 0.047], [0.250, 0.843, 0.454], [0.750, 0.157, 0.546]]
}